Record 1
# GGA-PBE SiO2, relaxed
data_SiO2
_chemical_formula_sum 'Si12 O24'
_space_group_name_H-M_alt 'P n n m'
_space_group_IT_number 58
_cell_length_a 5.0295
_cell_length_b 8.3899
_cell_length_c 14.1411
_cell_angle_alpha 90.00
_cell_angle_beta 90.00
_cell_angle_gamma 90.00
loop_
_space_group_symop_operation_xyz
'x,y,z'
'-x,-y,-z'
'-x,-y,z'
'x,y,-z'
'x+1/2,-y+1/2,-z+1/2'
'-x+1/2,y+1/2,z+1/2'
'-x+1/2,y+1/2,-z+1/2'
'x+1/2,-y+1/2,z+1/2'
loop_
_atom_site_label
_atom_site_fract_x
_atom_site_fract_y
_atom_site_fract_z
Si1 0.1159 0.1810 0.2018
Si2 0.2474 0.1176 0.0000
O1 0.0000 0.0000 0.0000
O2 0.0000 0.0000 0.2080
O3 0.0000 0.5000 0.5000
O4 0.1316 0.6993 0.2261
O5 0.2311 0.2246 0.0960
# MP2020-corrected energy in eV/cell: -299.69

=====

Record 2
# GGA-PBE Ca3Al2O12, relaxed
data_Ca3Al2O12
_chemical_formula_sum 'Ca24 Al16 O96'
_space_group_name_H-M_alt 'I a -3 d'
_space_group_IT_number 230
_space_group_name_Hall '-I 4bd 2c 3'
_cell_length_a 12.9690
_cell_length_b 12.9690
_cell_length_c 12.9690
_cell_angle_alpha 90.00
_cell_angle_beta 90.00
_cell_angle_gamma 90.00
loop_
_atom_site_label
_atom_site_fract_x
_atom_site_fract_y
_atom_site_fract_z
Ca1 0.0000 0.2500 0.1250
Al1 0.0000 0.0000 0.0000
O1 0.0091 0.0551 0.6311
# MP2020-corrected energy in eV/cell: -826.89

=====

Record 3
# GGA-PBE Ca3Sn2S7, relaxed
data_Ca3Sn2S7
_chemical_formula_sum 'Ca12 Sn8 S28'
_space_group_name_H-M_alt 'C m c 21'
_space_group_IT_number 36
_cell_length_a 23.3826
_cell_length_b 6.8076
_cell_length_c 7.2008
_cell_angle_alpha 90.00
_cell_angle_beta 90.00
_cell_angle_gamma 90.00
loop_
_space_group_symop_operation_xyz
'x,y,z'
'-x,-y,z+1/2'
'-x,y,z'
'x,-y,z+1/2'
'x+1/2,y+1/2,z'
'-x+1/2,-y+1/2,z+1/2'
'-x+1/2,y+1/2,z'
'x+1/2,-y+1/2,z+1/2'
loop_
_atom_site_label
_atom_site_fract_x
_atom_site_fract_y
_atom_site_fract_z
Ca1 0.0000 0.2178 0.0000
Ca2 0.1878 0.2434 0.1855
Sn1 0.1038 0.2463 0.6009
S1 0.0000 0.3849 0.6385
S2 0.0746 0.0649 0.2825
S3 0.1319 0.4454 0.8939
S4 0.2049 0.1335 0.5522
# MP2020-corrected energy in eV/cell: -241.92

=====

Record 4
## Y3Co (GGA-PBE)

Data for crystalline Y3Co at its relaxed geometry.

```
data_Y3Co
_chemical_formula_sum 'Y12 Co4'
_space_group_name_H-M_alt 'P 1 21 1'
_space_group_IT_number 4
_cell_length_a 6.3383
_cell_length_b 9.4963
_cell_length_c 7.0127
_cell_angle_alpha 90.00
_cell_angle_beta 90.01
_cell_angle_gamma 90.00
loop_
_space_group_symop_operation_xyz
'x,y,z'
'-x,y+1/2,-z'
loop_
_atom_site_label
_atom_site_fract_x
_atom_site_fract_y
_atom_site_fract_z
Y1 0.1332 0.0000 0.0429
Y2 0.1732 0.3160 0.3290
Y3 0.1855 0.6792 0.3228
Y4 0.3236 0.3146 0.8250
Y5 0.3328 0.6792 0.8259
Y6 0.3584 0.9985 0.5462
Co1 0.0435 0.5107 0.6116
Co2 0.4579 0.4982 0.1101
```

=====

Record 5
# GGA-PBE Mn2Fe3Cu10Sn5S20, relaxed
data_Mn2Fe3Cu10Sn5S20
_chemical_formula_sum 'Mn4 Fe6 Cu20 Sn10 S40'
_space_group_name_H-M_alt 'I 2 2 2'
_space_group_IT_number 23
_cell_length_a 5.5282
_cell_length_b 10.8955
_cell_length_c 27.7008
_cell_angle_alpha 90.00
_cell_angle_beta 90.00
_cell_angle_gamma 90.00
loop_
_space_group_symop_operation_xyz
'x,y,z'
'-x,-y,z'
'x,-y,-z'
'-x,y,-z'
'x+1/2,y+1/2,z+1/2'
'-x+1/2,-y+1/2,z+1/2'
'x+1/2,-y+1/2,-z+1/2'
'-x+1/2,y+1/2,-z+1/2'
loop_
_atom_site_label
_atom_site_fract_x
_atom_site_fract_y
_atom_site_fract_z
Mn1 0.0000 0.0000 0.2000
Fe1 0.0000 0.0000 0.0000
Fe2 0.0000 0.0000 0.4003
Cu1 0.0000 0.2487 0.5000
Cu2 0.0012 0.2522 0.0996
Cu3 0.0026 0.2489 0.6994
Sn1 0.0000 0.5000 0.0000
Sn2 0.0000 0.5000 0.1992
Sn3 0.0000 0.5000 0.4011
S1 0.2331 0.1321 0.0465
S2 0.2326 0.1322 0.4467
S3 0.2336 0.1316 0.6463
S4 0.2428 0.1352 0.2486
S5 0.2430 0.1347 0.8490
# MP2020-corrected energy in eV/cell: -423.75

=====

Record 6
## LaSi2Ni9 (GGA-PBE)

Data for crystalline LaSi2Ni9 at its relaxed geometry.

```
data_LaSi2Ni9
_chemical_formula_sum 'La4 Si8 Ni36'
_space_group_name_H-M_alt 'I 41/a m d'
_space_group_IT_number 141
_cell_length_a 9.8677
_cell_length_b 9.8677
_cell_length_c 6.2139
_cell_angle_alpha 90.00
_cell_angle_beta 90.00
_cell_angle_gamma 90.00
loop_
_space_group_symop_operation_xyz
'x,y,z'
'-x,-y,-z'
'-y+1/4,x+3/4,z+1/4'
'y+1/4,-x+3/4,-z+1/4'
'-x+1/2,-y,z+1/2'
'x+1/2,y,-z+1/2'
'y+1/4,-x+1/4,z+3/4'
'-y+1/4,x+1/4,-z+3/4'
'x,-y,-z'
'-x,y,z'
'-y+1/4,-x+1/4,-z+3/4'
'y+1/4,x+1/4,z+3/4'
'-x+1/2,y,-z+1/2'
'x+1/2,-y,z+1/2'
'y+1/4,x+3/4,-z+1/4'
'-y+1/4,-x+3/4,z+1/4'
'x+1/2,y+1/2,z+1/2'
'-x+1/2,-y+1/2,-z+1/2'
'-y+3/4,x+1/4,z+3/4'
'y+3/4,-x+1/4,-z+3/4'
'-x,-y+1/2,z'
'x,y+1/2,-z'
'y+3/4,-x+3/4,z+1/4'
'-y+3/4,x+3/4,-z+1/4'
'x+1/2,-y+1/2,-z+1/2'
'-x+1/2,y+1/2,z+1/2'
'-y+3/4,-x+3/4,-z+1/4'
'y+3/4,x+3/4,z+1/4'
'-x,y+1/2,-z'
'x,-y+1/2,z'
'y+3/4,x+1/4,-z+3/4'
'-y+3/4,-x+1/4,z+3/4'
loop_
_atom_site_label
_atom_site_fract_x
_atom_site_fract_y
_atom_site_fract_z
La1 0.0000 0.2500 0.3750
Si1 0.0000 0.0000 0.0000
Ni1 0.0000 0.2500 0.8750
Ni2 0.1250 0.0462 0.6890
```

=====

| no. | calculated volume (A^3/atom) | E_form (eV/atom) |
| --- | --- | --- |
| 1 | 16.575 | -3.218 |
| 2 | 16.039 | -1.793 |
| 3 | 23.880 | -1.457 |
| 4 | 26.381 | -0.143 |
| 5 | 20.856 | -0.609 |
| 6 | 12.605 | -0.466 |